A) Here is a relaxed structure of Sn2S3O12 from the Materials Project. Energies are from PBE.

Unit cell a=9.2873 b=8.7246 c=15.3081 alpha=55.61 beta=90.00 gamma=90.00
Fractional coordinates of all 68 atoms:
1 Sn 0.9657 0.3631 0.8906
2 Sn 0.4657 0.6369 0.6094
3 Sn 0.0285 0.8748 0.3814
4 Sn 0.5285 0.1252 0.1186
5 Sn 0.4715 0.8748 0.8814
6 Sn 0.9715 0.1252 0.6186
7 Sn 0.5343 0.3631 0.3906
8 Sn 0.0343 0.6369 0.1094
9 S 0.7346 0.5616 0.4861
10 S 0.6361 0.2879 0.8259
11 S 0.8985 0.9611 0.1392
12 S 0.1361 0.7121 0.6741
13 S 0.3985 0.0389 0.3608
14 S 0.2346 0.4384 0.0139
15 S 0.7654 0.5616 0.9861
16 S 0.6015 0.9611 0.6392
17 S 0.8639 0.2879 0.3259
18 S 0.1015 0.0389 0.8608
19 S 0.3639 0.7121 0.1741
20 S 0.2654 0.4384 0.5139
21 O 0.1498 0.5738 0.4588
22 O 0.0962 0.1502 0.9098
23 O 0.3313 0.4560 0.5990
24 O 0.3909 0.8230 0.2164
25 O 0.6207 0.5175 0.5679
26 O 0.7954 0.3428 0.8086
27 O 0.5983 0.1950 0.9373
28 O 0.0153 0.9002 0.2166
29 O 0.7555 0.9422 0.1836
30 O 0.7813 0.7547 0.4327
31 O 0.5504 0.4697 0.7629
32 O 0.0504 0.5303 0.7371
33 O 0.9207 0.1638 0.0504
34 O 0.4207 0.8362 0.4496
35 O 0.2813 0.2453 0.0673
36 O 0.2555 0.0578 0.3164
37 O 0.0983 0.8050 0.5627
38 O 0.5153 0.0998 0.2834
39 O 0.2954 0.6572 0.6914
40 O 0.1207 0.4825 0.9321
41 O 0.8313 0.5440 0.9010
42 O 0.5962 0.8498 0.5902
43 O 0.8909 0.1770 0.2836
44 O 0.6498 0.4262 0.0412
45 O 0.3502 0.5738 0.9588
46 O 0.1091 0.8230 0.7164
47 O 0.4038 0.1502 0.4098
48 O 0.1687 0.4560 0.0990
49 O 0.8793 0.5175 0.0679
50 O 0.7046 0.3428 0.3086
51 O 0.4847 0.9002 0.7166
52 O 0.9017 0.1950 0.4373
53 O 0.7445 0.9422 0.6836
54 O 0.7187 0.7547 0.9327
55 O 0.5793 0.1638 0.5504
56 O 0.0793 0.8362 0.9496
57 O 0.9496 0.4697 0.2629
58 O 0.4496 0.5303 0.2371
59 O 0.2187 0.2453 0.5673
60 O 0.2445 0.0578 0.8164
61 O 0.9847 0.0998 0.7834
62 O 0.4017 0.8050 0.0627
63 O 0.2046 0.6572 0.1914
64 O 0.3793 0.4825 0.4321
65 O 0.6091 0.1770 0.7836
66 O 0.6687 0.5440 0.4010
67 O 0.9038 0.8498 0.0902
68 O 0.8502 0.4262 0.5412

Magnetic moment, Bohr magnetons per cell: 0.0
SG: P2_1/c (14)

B) Here is a relaxed structure of Sn2S3O12 from the Materials Project. Energies are from PBE.

Unit cell a=9.0612 b=9.2223 c=12.5757 alpha=90.00 beta=90.00 gamma=90.00
Fractional coordinates of all 68 atoms:
1 Sn 0.9684 0.2516 0.1227
2 Sn 0.4684 0.7484 0.1227
3 Sn 0.9684 0.7516 0.3773
4 Sn 0.4684 0.2484 0.3773
5 Sn 0.0316 0.2484 0.6227
6 Sn 0.5316 0.7516 0.6227
7 Sn 0.5316 0.2516 0.8773
8 Sn 0.0316 0.7484 0.8773
9 S 0.2500 0.4582 0.0000
10 S 0.7500 0.5418 0.0000
11 S 0.6062 0.0997 0.1448
12 S 0.1062 0.9003 0.1448
13 S 0.1062 0.4003 0.3552
14 S 0.6062 0.5997 0.3552
15 S 0.7500 0.0418 0.5000
16 S 0.2500 0.9582 0.5000
17 S 0.3938 0.4003 0.6448
18 S 0.8938 0.5997 0.6448
19 S 0.8938 0.0997 0.8552
20 S 0.3938 0.9003 0.8552
21 O 0.5771 0.1309 0.0312
22 O 0.0771 0.8691 0.0312
23 O 0.3616 0.5476 0.0563
24 O 0.8616 0.4524 0.0563
25 O 0.1792 0.3649 0.0828
26 O 0.6792 0.6351 0.0828
27 O 0.1145 0.0612 0.1624
28 O 0.6145 0.9388 0.1624
29 O 0.7497 0.1620 0.1805
30 O 0.2497 0.8380 0.1805
31 O 0.9825 0.8373 0.2092
32 O 0.4825 0.1627 0.2092
33 O 0.9825 0.3373 0.2908
34 O 0.4825 0.6627 0.2908
35 O 0.7497 0.6620 0.3195
36 O 0.2497 0.3380 0.3195
37 O 0.6145 0.4388 0.3376
38 O 0.1145 0.5612 0.3376
39 O 0.6792 0.1351 0.4172
40 O 0.1792 0.8649 0.4172
41 O 0.3616 0.0476 0.4437
42 O 0.8616 0.9524 0.4437
43 O 0.5771 0.6309 0.4688
44 O 0.0771 0.3691 0.4688
45 O 0.4229 0.3691 0.5312
46 O 0.9229 0.6309 0.5312
47 O 0.1384 0.0476 0.5563
48 O 0.6384 0.9524 0.5563
49 O 0.8208 0.1351 0.5828
50 O 0.3208 0.8649 0.5828
51 O 0.8855 0.4388 0.6624
52 O 0.3855 0.5612 0.6624
53 O 0.2503 0.3380 0.6805
54 O 0.7503 0.6620 0.6805
55 O 0.5175 0.3373 0.7092
56 O 0.0175 0.6627 0.7092
57 O 0.0175 0.1627 0.7908
58 O 0.5175 0.8373 0.7908
59 O 0.7503 0.1620 0.8195
60 O 0.2503 0.8380 0.8195
61 O 0.3855 0.0612 0.8376
62 O 0.8855 0.9388 0.8376
63 O 0.3208 0.3649 0.9172
64 O 0.8208 0.6351 0.9172
65 O 0.6384 0.4524 0.9437
66 O 0.1384 0.5476 0.9437
67 O 0.9229 0.1309 0.9688
68 O 0.4229 0.8691 0.9688

Magnetic moment, Bohr magnetons per cell: 0.0
SG: Pbcn (60)

It is A) that is the most stable of them.